(1)
A geometry-optimized RbP2Rh2 structure. Source: the Materials Project, functional r²SCAN.

```
data_RbP2Rh2
_chemical_formula_sum 'Rb2 P4 Rh4'
_symmetry_space_group_name_H-M 'I 4/m m m'
_symmetry_Int_Tables_number 139
_symmetry_space_group_name_Hall '-I 4 2'
_cell_length_a 3.911
_cell_length_b 3.911
_cell_length_c 13.790
_cell_angle_alpha 90.00
_cell_angle_beta 90.00
_cell_angle_gamma 90.00
loop_
_atom_site_label
_atom_site_type_symbol
_atom_site_fract_x
_atom_site_fract_y
_atom_site_fract_z
Rb1 Rb 0.000 0.000 0.000
P1 P 0.000 0.000 0.341
Rh1 Rh 0.000 0.500 0.250
```

---

(2)
A geometry-optimized RbP2Ru2 structure. Source: the Materials Project, functional r²SCAN.

```
data_RbP2Ru2
_chemical_formula_sum 'Rb2 P4 Ru4'
_symmetry_space_group_name_H-M 'I 4/m m m'
_symmetry_Int_Tables_number 139
_symmetry_space_group_name_Hall '-I 4 2'
_cell_length_a 4.032
_cell_length_b 4.032
_cell_length_c 13.212
_cell_angle_alpha 90.00
_cell_angle_beta 90.00
_cell_angle_gamma 90.00
loop_
_atom_site_label
_atom_site_type_symbol
_atom_site_fract_x
_atom_site_fract_y
_atom_site_fract_z
Rb1 Rb 0.000 0.000 0.000
P1 P 0.000 0.000 0.333
Ru1 Ru 0.000 0.500 0.250
```

---

Number 1: formation energy -0.84 eV per atom. Number 2: formation energy -0.72 eV per atom.